Entry 1:
The following is a PBE with a Hubbard U calculation of a relaxed FeSi2O6 crystal, from the Materials Project database.

abc: 5.113 10.761 18.832
angles: 90.00 90.00 90.00
Sites, in units of the cell vectors:
O: 0.194 0.456 0.322
O: 0.871 0.638 0.807
O: 0.733 0.358 0.557
O: 0.671 0.780 0.703
O: 0.806 0.544 0.678
O: 0.733 0.858 0.943
O: 0.330 0.046 0.927
O: 0.171 0.220 0.797
O: 0.170 0.046 0.427
O: 0.965 0.717 0.547
O: 0.829 0.280 0.297
O: 0.329 0.720 0.203
O: 0.535 0.717 0.047
O: 0.035 0.283 0.453
O: 0.694 0.044 0.322
O: 0.233 0.642 0.943
O: 0.767 0.358 0.057
O: 0.330 0.546 0.573
O: 0.306 0.956 0.678
O: 0.267 0.642 0.443
O: 0.306 0.456 0.822
O: 0.194 0.956 0.178
O: 0.830 0.954 0.573
O: 0.465 0.783 0.547
O: 0.671 0.280 0.797
O: 0.233 0.142 0.557
O: 0.171 0.720 0.703
O: 0.129 0.362 0.193
O: 0.767 0.858 0.443
O: 0.694 0.544 0.178
O: 0.806 0.044 0.822
O: 0.129 0.862 0.307
O: 0.465 0.283 0.953
O: 0.371 0.862 0.807
O: 0.035 0.783 0.047
O: 0.267 0.142 0.057
O: 0.670 0.954 0.073
O: 0.670 0.454 0.427
O: 0.329 0.220 0.297
O: 0.170 0.546 0.073
O: 0.871 0.138 0.693
O: 0.535 0.217 0.453
O: 0.629 0.638 0.307
O: 0.965 0.217 0.953
O: 0.829 0.780 0.203
O: 0.629 0.138 0.193
O: 0.830 0.454 0.927
O: 0.371 0.362 0.693
Fe: 0.937 0.951 0.374
Fe: 0.063 0.549 0.874
Fe: 0.563 0.451 0.626
Fe: 0.563 0.951 0.874
Fe: 0.937 0.451 0.126
Fe: 0.063 0.049 0.626
Fe: 0.437 0.549 0.374
Fe: 0.437 0.049 0.126
Si: 0.262 0.170 0.972
Si: 0.877 0.168 0.778
Si: 0.238 0.170 0.472
Si: 0.623 0.668 0.222
Si: 0.738 0.830 0.028
Si: 0.123 0.332 0.278
Si: 0.377 0.332 0.778
Si: 0.877 0.668 0.722
Si: 0.377 0.832 0.722
Si: 0.738 0.330 0.472
Si: 0.262 0.670 0.528
Si: 0.238 0.670 0.028
Si: 0.623 0.168 0.278
Si: 0.123 0.832 0.222
Si: 0.762 0.830 0.528
Si: 0.762 0.330 0.972

Properties
The magnetization is 4.0 μB per formula unit. As for the energy above the most stable polymorph in this dataset: 93 meV per atom.



Entry 2:
The following is a PBE with a Hubbard U calculation of a relaxed Ca3Fe2Si4O14 crystal, from the Materials Project database.

abc: 9.444 9.444 10.178
angles: 59.13 59.13 48.48
Sites, in units of the cell vectors:
O: 0.672 0.658 0.409
O: 0.541 0.353 0.690
O: 0.709 0.124 0.497
O: 0.106 0.530 0.819
O: 0.353 0.541 0.190
O: 0.470 0.894 0.681
O: 0.949 0.498 0.683
O: 0.929 0.267 0.495
O: 0.459 0.647 0.310
O: 0.894 0.470 0.181
O: 0.733 0.071 0.005
O: 0.124 0.709 0.997
O: 0.328 0.342 0.591
O: 0.106 0.037 0.275
O: 0.071 0.733 0.505
O: 0.267 0.929 0.995
O: 0.876 0.291 0.003
O: 0.498 0.949 0.183
O: 0.530 0.106 0.319
O: 0.291 0.876 0.503
O: 0.894 0.963 0.725
O: 0.963 0.894 0.225
O: 0.658 0.672 0.909
O: 0.342 0.328 0.091
O: 0.647 0.459 0.810
O: 0.502 0.051 0.817
O: 0.037 0.106 0.775
O: 0.051 0.502 0.317
Ca: 0.838 0.766 0.960
Ca: 0.766 0.838 0.460
Ca: 0.653 0.347 0.250
Ca: 0.234 0.162 0.540
Ca: 0.162 0.234 0.040
Ca: 0.347 0.653 0.750
Fe: 0.000 0.000 0.000
Fe: 0.000 0.000 0.500
Fe: 0.792 0.208 0.750
Fe: 0.208 0.792 0.250
Si: 0.466 0.885 0.846
Si: 0.885 0.466 0.346
Si: 0.784 0.468 0.853
Si: 0.115 0.534 0.654
Si: 0.534 0.115 0.154
Si: 0.468 0.784 0.353
Si: 0.532 0.216 0.647
Si: 0.216 0.532 0.147

Properties
The magnetization is 10.0 μB per formula unit.



Entry 3:
The following is a PBE with a Hubbard U calculation of a relaxed Zn3Fe16Ni5O32 crystal, from the Materials Project database.

abc: 8.375 8.400 8.428
angles: 89.88 89.94 90.00
Sites, in units of the cell vectors:
O: 0.642 0.365 0.142
O: 0.625 0.887 0.123
O: 0.862 0.861 0.860
O: 0.384 0.616 0.610
O: 0.617 0.119 0.883
O: 0.883 0.382 0.887
O: 0.622 0.611 0.378
O: 0.876 0.610 0.114
O: 0.361 0.358 0.869
O: 0.877 0.114 0.610
O: 0.389 0.379 0.375
O: 0.109 0.377 0.113
O: 0.625 0.378 0.610
O: 0.864 0.364 0.367
O: 0.130 0.867 0.140
O: 0.108 0.607 0.882
O: 0.878 0.889 0.386
O: 0.636 0.137 0.369
O: 0.131 0.630 0.372
O: 0.127 0.370 0.637
O: 0.390 0.892 0.881
O: 0.139 0.142 0.867
O: 0.641 0.872 0.626
O: 0.872 0.638 0.637
O: 0.368 0.633 0.141
O: 0.104 0.882 0.613
O: 0.371 0.129 0.638
O: 0.369 0.870 0.373
O: 0.384 0.124 0.114
O: 0.642 0.638 0.868
O: 0.111 0.121 0.378
O: 0.866 0.140 0.142
Ni: 0.127 0.626 0.123
Ni: 0.374 0.376 0.626
Ni: 0.126 0.126 0.626
Ni: 0.373 0.872 0.123
Ni: 0.624 0.625 0.626
Fe: 0.874 0.127 0.375
Fe: 0.750 0.746 0.248
Fe: 0.376 0.624 0.375
Fe: 0.500 0.001 0.505
Fe: 0.875 0.375 0.127
Fe: 0.248 0.251 0.245
Fe: 0.623 0.124 0.126
Fe: 0.750 0.250 0.747
Fe: 0.373 0.127 0.874
Fe: 0.624 0.872 0.873
Fe: 0.125 0.375 0.875
Fe: 0.876 0.624 0.875
Fe: 0.874 0.875 0.624
Fe: 0.125 0.876 0.373
Fe: 0.627 0.374 0.375
Fe: 0.002 0.502 0.506
Zn: 0.249 0.748 0.749
Zn: 0.496 0.502 0.000
Zn: 0.005 0.000 0.999

Properties
The magnetization is 90.0 μB per formula unit.



Entry 4:
The following is a PBE with a Hubbard U calculation of a relaxed Li3TiV3O8 crystal, from the Materials Project database.

abc: 5.915 5.915 9.669
angles: 90.00 90.00 120.00
Sites, in units of the cell vectors:
O: 0.334 0.167 0.911
O: 0.000 0.000 0.678
O: 0.518 0.482 0.154
O: 0.833 0.167 0.911
O: 0.167 0.833 0.411
O: 0.167 0.334 0.411
O: 0.036 0.518 0.654
O: 0.964 0.482 0.154
O: 0.482 0.964 0.654
O: 0.482 0.518 0.654
O: 0.000 0.000 0.178
O: 0.518 0.036 0.154
O: 0.833 0.666 0.911
O: 0.666 0.833 0.411
O: 0.667 0.333 0.400
O: 0.333 0.667 0.900
Li: 0.173 0.345 0.058
Li: 0.173 0.827 0.058
Li: 0.345 0.173 0.558
Li: 0.827 0.173 0.558
Li: 0.827 0.655 0.558
Li: 0.655 0.827 0.058
V: 0.339 0.169 0.286
V: 0.169 0.831 0.786
V: 0.169 0.339 0.786
V: 0.831 0.661 0.286
V: 0.661 0.831 0.786
V: 0.831 0.169 0.286
Ti: 0.333 0.667 0.505
Ti: 0.667 0.333 0.005

Properties
The magnetization is 6.0 μB per formula unit. As for the energy above the most stable polymorph in this dataset: 20 meV per atom.



Entry 5:
The following is a PBE with a Hubbard U calculation of a relaxed Ti3MnSn2P6O24 crystal, from the Materials Project database.

abc: 9.146 9.146 9.146
angles: 56.23 56.23 56.23
Sites, in units of the cell vectors:
P: 0.956 0.250 0.539
P: 0.469 0.037 0.745
P: 0.037 0.745 0.469
P: 0.539 0.956 0.250
P: 0.745 0.469 0.037
P: 0.250 0.539 0.956
O: 0.134 0.274 0.503
O: 0.442 0.224 0.569
O: 0.780 0.632 0.007
O: 0.712 0.943 0.067
O: 0.569 0.442 0.224
O: 0.781 0.417 0.594
O: 0.274 0.503 0.134
O: 0.917 0.284 0.055
O: 0.067 0.712 0.943
O: 0.594 0.781 0.417
O: 0.224 0.569 0.442
O: 0.878 0.697 0.510
O: 0.503 0.134 0.274
O: 0.417 0.594 0.781
O: 0.697 0.510 0.878
O: 0.249 0.369 0.967
O: 0.967 0.249 0.369
O: 0.007 0.780 0.632
O: 0.510 0.878 0.697
O: 0.284 0.055 0.917
O: 0.055 0.917 0.284
O: 0.369 0.967 0.249
O: 0.943 0.067 0.712
O: 0.632 0.007 0.780
Ti: 0.345 0.345 0.345
Ti: 0.647 0.647 0.647
Ti: 0.855 0.855 0.855
Sn: 0.015 0.015 0.015
Sn: 0.488 0.488 0.488
Mn: 0.151 0.151 0.151

Properties
The magnetization is 5.0 μB per formula unit.



Entry 6:
The following is a PBE with a Hubbard U calculation of a relaxed Li7Mn5O12 crystal, from the Materials Project database.

abc: 2.986 6.023 12.529
angles: 76.54 90.00 90.00
Sites, in units of the cell vectors:
Mn: 0.000 0.500 0.000
Mn: 0.000 0.160 0.660
Mn: 0.500 0.326 0.833
Mn: 0.000 0.840 0.340
Mn: 0.500 0.674 0.167
O: 0.000 0.908 0.176
O: 0.000 0.751 0.490
O: 0.500 0.385 0.673
O: 0.500 0.258 0.991
O: 0.000 0.092 0.824
O: 0.500 0.052 0.334
O: 0.500 0.948 0.666
O: 0.000 0.249 0.510
O: 0.500 0.742 0.009
O: 0.500 0.615 0.327
O: 0.000 0.427 0.160
O: 0.000 0.573 0.840
Li: 0.000 0.319 0.345
Li: 0.500 0.000 0.500
Li: 0.000 0.681 0.655
Li: 0.500 0.163 0.167
Li: 0.000 0.000 0.000
Li: 0.500 0.837 0.833
Li: 0.500 0.500 0.500

Properties
The magnetization is 18.0 μB per formula unit. As for the energy above the most stable polymorph in this dataset: 57 meV per atom.



Entry 7:
The following is a PBE with a Hubbard U calculation of a relaxed Fe10O9F11 crystal, from the Materials Project database.

abc: 4.780 4.782 15.449
angles: 90.03 90.12 93.31
Sites, in units of the cell vectors:
O: 0.195 0.819 0.899
O: 0.322 0.323 0.801
O: 0.311 0.301 0.598
O: 0.298 0.306 0.004
O: 0.701 0.692 0.601
O: 0.680 0.684 0.198
O: 0.700 0.702 0.000
O: 0.681 0.685 0.400
O: 0.179 0.806 0.299
F: 0.288 0.293 0.201
F: 0.199 0.795 0.491
F: 0.797 0.185 0.298
F: 0.813 0.202 0.900
F: 0.190 0.804 0.103
F: 0.802 0.194 0.488
F: 0.813 0.204 0.710
F: 0.289 0.295 0.398
F: 0.213 0.806 0.708
F: 0.810 0.185 0.104
F: 0.711 0.718 0.800
Fe: 0.984 0.962 0.203
Fe: 0.045 0.022 0.804
Fe: 0.002 0.001 0.601
Fe: 0.463 0.523 0.904
Fe: 0.502 0.490 0.695
Fe: 0.983 0.963 0.397
Fe: 0.513 0.502 0.508
Fe: 0.522 0.497 0.092
Fe: 0.013 0.991 0.994
Fe: 0.480 0.549 0.300

Properties
The magnetization is 49.0 μB per formula unit. As for the energy above the most stable polymorph in this dataset: 10 meV per atom.



Entry 8:
The following is a PBE with a Hubbard U calculation of a relaxed LiCoP4O12 crystal, from the Materials Project database.

abc: 8.399 9.278 12.738
angles: 90.00 90.00 90.00
Sites, in units of the cell vectors:
O: 0.642 0.536 0.820
O: 0.105 0.574 0.244
O: 0.605 0.574 0.256
O: 0.465 0.131 0.070
O: 0.809 0.366 0.935
O: 0.370 0.878 0.122
O: 0.309 0.134 0.435
O: 0.395 0.074 0.256
O: 0.870 0.622 0.622
O: 0.358 0.036 0.820
O: 0.630 0.122 0.878
O: 0.535 0.869 0.930
O: 0.130 0.122 0.622
O: 0.596 0.374 0.395
O: 0.809 0.134 0.065
O: 0.858 0.036 0.680
O: 0.142 0.964 0.320
O: 0.191 0.866 0.935
O: 0.142 0.536 0.680
O: 0.596 0.126 0.605
O: 0.404 0.626 0.605
O: 0.895 0.074 0.244
O: 0.404 0.874 0.395
O: 0.465 0.369 0.930
O: 0.630 0.378 0.122
O: 0.096 0.374 0.105
O: 0.309 0.366 0.565
O: 0.904 0.626 0.895
O: 0.395 0.426 0.744
O: 0.895 0.426 0.756
O: 0.691 0.866 0.565
O: 0.096 0.126 0.895
O: 0.358 0.464 0.180
O: 0.605 0.926 0.744
O: 0.191 0.634 0.065
O: 0.642 0.964 0.180
O: 0.965 0.131 0.430
O: 0.130 0.378 0.378
O: 0.904 0.874 0.105
O: 0.691 0.634 0.435
O: 0.535 0.631 0.070
O: 0.858 0.464 0.320
O: 0.965 0.369 0.570
O: 0.035 0.869 0.570
O: 0.105 0.926 0.756
O: 0.870 0.878 0.378
O: 0.370 0.622 0.878
O: 0.035 0.631 0.430
P: 0.319 0.495 0.639
P: 0.819 0.495 0.861
P: 0.965 0.489 0.649
P: 0.319 0.005 0.361
P: 0.181 0.505 0.139
P: 0.535 0.989 0.851
P: 0.535 0.511 0.149
P: 0.681 0.995 0.639
P: 0.681 0.505 0.361
P: 0.965 0.011 0.351
P: 0.181 0.995 0.861
P: 0.035 0.511 0.351
P: 0.465 0.489 0.851
P: 0.465 0.011 0.149
P: 0.819 0.005 0.139
P: 0.035 0.989 0.649
Co: 0.132 0.250 0.500
Co: 0.368 0.750 0.000
Co: 0.868 0.750 0.500
Co: 0.632 0.250 0.000
Li: 0.997 0.250 0.000
Li: 0.003 0.750 0.000
Li: 0.503 0.750 0.500
Li: 0.497 0.250 0.500

Properties
The magnetization is 0.0 μB per formula unit. As for the energy above the most stable polymorph in this dataset: 0 meV per atom.



Number 1: raw total energy -0.265 hartree per atom, energy of formation -2.48 eV per atom. Number 2: raw total energy -0.270 hartree per atom, energy of formation -3.01 eV per atom. Number 3: raw total energy -0.225 hartree per atom, energy of formation -1.56 eV per atom. Number 4: raw total energy -0.269 hartree per atom, energy of formation -2.65 eV per atom. Number 5: raw total energy -0.281 hartree per atom, energy of formation -2.80 eV per atom. Number 6: raw total energy -0.233 hartree per atom, energy of formation -2.10 eV per atom. Number 7: raw total energy -0.219 hartree per atom, energy of formation -2.08 eV per atom. Number 8: raw total energy -0.253 hartree per atom, energy of formation -2.43 eV per atom.